Density functional theory data (PBE-GGA) for an optimized crystal structure of Li3PF6.

a = 5.197 Å, b = 5.365 Å, c = 6.119 Å
α = 77.40°, β = 88.64°, γ = 82.43°
Positions (direct):
Li (0.000, 0.000, 0.000)
Li (0.000, 0.500, 0.000)
Li (0.500, 0.000, 0.500)
P (0.500, 0.000, 0.000)
F (0.212, 0.255, 0.842)
F (0.276, 0.749, 0.943)
F (0.284, 0.029, 0.267)
F (0.716, 0.971, 0.733)
F (0.724, 0.251, 0.057)
F (0.788, 0.745, 0.158)

Properties
ΔE to the lowest computed polymorph ... 41 meV per atom
Total magnetic moment ... 0.0 μB per cell
Energy of formation ... -26.01 eV per formula unit